Entry 1:
BaAg2: optimized geometry, PBE-GGA.

Formation enthalpy at 0 K   -0.30 eV/atom
ρ   6.3 g/cm³
Space-group type   No. 191
Calculated volume   92.6 Å³ per cell

Lattice parameters (Å, degrees): 4.9330 4.9330 4.3932 90.00 90.00 120.00
Sites, in units of the cell vectors:
Ba1 0.0000 0.0000 0.0000
Ag1 0.3333 0.6667 0.5000
Ag2 0.6667 0.3333 0.5000

---

Entry 2:
NaLaGa4Se8: optimized geometry, PBE-GGA.

Formation enthalpy at 0 K   -1.21 eV/atom
ρ   4.8 g/cm³
MP2020-corrected energy   -4.52 eV/atom
Space-group type   No. 70
Calculated volume   1493.0 Å³ per cell

Lattice parameters (Å, degrees): 15.2274 12.5655 12.5262 74.73 52.75 52.52
Sites, in units of the cell vectors:
Na1 0.1219 0.1219 0.6281
Na2 0.3719 0.3719 0.8781
Na3 0.6281 0.6281 0.1219
Na4 0.8781 0.8781 0.3719
La1 0.1250 0.1250 0.1250
La2 0.3750 0.3750 0.3750
La3 0.6250 0.6250 0.6250
La4 0.8750 0.8750 0.8750
Ga1 0.0293 0.4716 0.8606
Ga2 0.1115 0.3841 0.3679
Ga3 0.1385 0.8606 0.4716
Ga4 0.1394 0.8615 0.9707
Ga5 0.3635 0.6321 0.6159
Ga6 0.3679 0.6365 0.1115
Ga7 0.3841 0.1115 0.6365
Ga8 0.4716 0.0293 0.1385
Ga9 0.5284 0.9707 0.8615
Ga10 0.6159 0.8885 0.3635
Ga11 0.6321 0.3635 0.8885
Ga12 0.6365 0.3679 0.3841
Ga13 0.8606 0.1385 0.0293
Ga14 0.8615 0.1394 0.5284
Ga15 0.8885 0.6159 0.6321
Ga16 0.9707 0.5284 0.1394
Se1 0.0825 0.5905 0.9141
Se2 0.0859 0.0870 0.9175
Se3 0.0870 0.0859 0.4095
Se4 0.0927 0.5795 0.4107
Se5 0.1533 0.8428 0.6613
Se6 0.1575 0.3387 0.1572
Se7 0.1572 0.8467 0.1575
Se8 0.1809 0.3162 0.6519
Se9 0.3162 0.1809 0.3510
Se10 0.3387 0.1575 0.8467
Se11 0.3481 0.6490 0.8191
Se12 0.3510 0.6519 0.3162
Se13 0.4095 0.9175 0.0870
Se14 0.4107 0.4171 0.0927
Se15 0.4171 0.4107 0.5795
Se16 0.4205 0.9073 0.5829
Se17 0.5795 0.0927 0.4171
Se18 0.5829 0.5893 0.4205
Se19 0.5893 0.5829 0.9073
Se20 0.5905 0.0825 0.9130
Se21 0.6490 0.3481 0.6838
Se22 0.6519 0.3510 0.1809
Se23 0.6613 0.8425 0.1533
Se24 0.6838 0.8191 0.6490
Se25 0.8191 0.6838 0.3481
Se26 0.8428 0.1533 0.8425
Se27 0.8425 0.6613 0.8428
Se28 0.8467 0.1572 0.3387
Se29 0.9073 0.4205 0.5893
Se30 0.9130 0.9141 0.5905
Se31 0.9141 0.9130 0.0825
Se32 0.9175 0.4095 0.0859

---

Entry 3:
Hg: optimized geometry, PBE-GGA.

Formation enthalpy at 0 K   0.01 eV/atom
ρ   10.6 g/cm³
Space-group type   No. 223
Calculated volume   250.6 Å³ per cell
Polymorph energy (0 for the lowest one)   0.005 eV/atom

Lattice parameters (Å, degrees): 6.3043 6.3043 6.3043 90.00 90.00 90.00
Sites, in units of the cell vectors:
Hg1 0.0000 0.0000 0.0000
Hg2 0.0000 0.2500 0.5000
Hg3 0.0000 0.7500 0.5000
Hg4 0.2500 0.5000 0.0000
Hg5 0.5000 0.0000 0.2500
Hg6 0.5000 0.0000 0.7500
Hg7 0.5000 0.5000 0.5000
Hg8 0.7500 0.5000 0.0000

---

Entry 4:
DyTh3: optimized geometry, PBE-GGA.

Formation enthalpy at 0 K   0.03 eV/atom
ρ   11.2 g/cm³
Space-group type   No. 221
Calculated volume   127.4 Å³ per cell

Lattice parameters (Å, degrees): 5.0313 5.0313 5.0313 90.00 90.00 90.00
Sites, in units of the cell vectors:
Dy1 0.0000 0.0000 0.0000
Th1 0.0000 0.5000 0.5000
Th2 0.5000 0.0000 0.5000
Th3 0.5000 0.5000 0.0000

---

Entry 5:
Na10Ta4Ti4Si11SO48: optimized geometry, PBE-GGA.

Formation enthalpy at 0 K   -3.04 eV/atom
ρ   3.6 g/cm³
MP2020-corrected energy   -8.09 eV/atom
Space-group type   No. 1
Calculated volume   3108.5 Å³ per cell

Lattice parameters (Å, degrees): 8.9327 15.4578 22.5126 89.93 89.95 89.98
Sites, in units of the cell vectors:
Na1 0.0000 0.0000 0.0000
Na2 0.9997 0.0310 0.3338
Na3 0.9999 0.6681 0.3352
Na4 0.0032 0.6987 0.6656
Na5 0.1314 0.1971 0.1648
Na6 0.1335 0.1669 0.8351
Na7 0.1357 0.5020 0.5001
Na8 0.1375 0.5330 0.8351
Na9 0.1826 0.1789 0.5010
Na10 0.1826 0.5169 0.1642
Na11 0.3168 0.3469 0.0795
Na12 0.3169 0.6887 0.2493
Na13 0.3178 0.6881 0.7505
Na14 0.3208 0.0152 0.9198
Na15 0.3205 0.3466 0.5845
Na16 0.3239 0.0131 0.4186
Na17 0.4499 0.5172 0.6658
Na18 0.4985 0.5345 0.3342
Na19 0.4997 0.4998 0.9998
Na20 0.6316 0.6985 0.1650
Na21 0.6333 0.6672 0.8354
Na22 0.6367 0.0334 0.8349
Na23 0.6824 0.0167 0.1648
Na24 0.8115 0.1868 0.2486
Na25 0.8129 0.1878 0.7510
Na26 0.8142 0.5150 0.4175
Na27 0.8141 0.8496 0.5787
Na28 0.8168 0.8472 0.0802
Na29 0.8208 0.5150 0.9200
Na30 0.9537 0.0155 0.6652
Ta1 0.3163 0.0135 0.7698
Ta2 0.3168 0.3453 0.7300
Ta3 0.3209 0.3482 0.2289
Ta4 0.3234 0.3486 0.4377
Ta5 0.3237 0.0148 0.2704
Ta6 0.8133 0.5178 0.5615
Ta7 0.8135 0.8494 0.7299
Ta8 0.8148 0.1821 0.3964
Ta9 0.8148 0.1822 0.6035
Ta10 0.8146 0.5137 0.7706
Ta11 0.8186 0.5137 0.2692
Ta12 0.8199 0.8490 0.2302
Ti1 0.3030 0.3472 0.9351
Ti2 0.3100 0.6820 0.6029
Ti3 0.3152 0.0178 0.5654
Ti4 0.3180 0.6765 0.8971
Ti5 0.3176 0.6806 0.3963
Ti6 0.3255 0.6796 0.1026
Ti7 0.3269 0.0221 0.0648
Ti8 0.8029 0.8475 0.9353
Ti9 0.8181 0.1766 0.8971
Ti10 0.8259 0.1784 0.1027
Ti11 0.8273 0.5222 0.0644
Ti12 0.8272 0.8508 0.4350
Si1 0.0232 0.3469 0.8344
Si2 0.0273 0.6872 0.4989
Si3 0.0332 0.0138 0.1645
Si4 0.1068 0.5142 0.6658
Si5 0.1096 0.1835 0.9995
Si6 0.1114 0.8479 0.3347
Si7 0.1698 0.5368 0.0003
Si8 0.1709 0.4933 0.3340
Si9 0.1726 0.2045 0.3333
Si10 0.1745 0.1611 0.6656
Si11 0.1782 0.8699 0.6642
Si12 0.4555 0.8699 0.1642
Si13 0.4614 0.4904 0.8354
Si14 0.4622 0.5412 0.4999
Si15 0.4674 0.2067 0.8357
Si16 0.4678 0.1617 0.1653
Si17 0.5222 0.8471 0.8347
Si18 0.5271 0.1786 0.5005
Si19 0.5319 0.5142 0.1637
Si20 0.6019 0.0157 0.6649
Si21 0.6102 0.3470 0.3330
Si22 0.6096 0.6836 0.9995
Si23 0.6672 0.6626 0.6659
Si24 0.6692 0.0368 0.0002
Si25 0.6687 0.7075 0.3356
Si26 0.6710 0.9915 0.3355
Si27 0.6742 0.3690 0.6660
Si28 0.9557 0.3694 0.1638
Si29 0.9589 0.3275 0.4998
Si30 0.9626 0.0326 0.4999
Si31 0.9632 0.9910 0.8360
Si32 0.9674 0.6624 0.1654
Si33 0.9670 0.7074 0.8351
S1 0.1744 0.8254 0.9998
S2 0.4611 0.8262 0.4999
S3 0.6744 0.3254 0.9999
O1 0.0003 0.1974 0.0584
O2 0.9998 0.8310 0.2769
O3 0.0013 0.5001 0.6076
O4 0.0012 0.5337 0.7242
O5 0.0088 0.8365 0.9944
O6 0.1329 0.0338 0.2244
O7 0.1354 0.9998 0.1061
O8 0.1350 0.3320 0.7768
O9 0.1352 0.3686 0.8900
O10 0.1354 0.6966 0.5583
O11 0.1377 0.6656 0.4420
O12 0.1399 0.3620 0.1741
O13 0.1423 0.3370 0.4931
O14 0.1430 0.0071 0.8264
O15 0.1449 0.0297 0.5070
O16 0.1463 0.6679 0.1582
O17 0.1459 0.6916 0.8409
O18 0.1993 0.0995 0.7245
O19 0.2003 0.9362 0.6090
O20 0.2006 0.7716 0.0535
O21 0.2024 0.2651 0.2747
O22 0.2019 0.4334 0.3924
O23 0.2034 0.5984 0.9413
O24 0.2053 0.0934 0.0066
O25 0.2072 0.9365 0.3258
O26 0.2103 0.7609 0.3422
O27 0.2112 0.6015 0.6594
O28 0.2148 0.2692 0.9923
O29 0.2178 0.4316 0.6731
O30 0.2402 0.9138 0.0052
O31 0.2419 0.7853 0.9462
O32 0.2439 0.1080 0.3262
O33 0.2458 0.7729 0.6584
O34 0.2481 0.5890 0.3401
O35 0.2488 0.1161 0.6073
O36 0.2485 0.2502 0.3917
O37 0.2489 0.2564 0.6731
O38 0.2494 0.9169 0.7235
O39 0.2512 0.4501 0.2756
O40 0.2505 0.5846 0.0579
O41 0.2570 0.4439 0.9931
O42 0.3775 0.2516 0.8904
O43 0.3791 0.1168 0.1096
O44 0.3810 0.2544 0.1735
O45 0.3821 0.4452 0.4927
O46 0.3824 0.5834 0.5584
O47 0.3830 0.4503 0.7752
O48 0.3849 0.9170 0.2236
O49 0.3871 0.1107 0.8259
O50 0.3873 0.5884 0.8401
O51 0.3890 0.7726 0.1583
O52 0.3907 0.9126 0.5060
O53 0.3918 0.7850 0.4464
O54 0.4163 0.0964 0.5066
O55 0.4178 0.4322 0.1735
O56 0.4199 0.2656 0.4928
O57 0.4236 0.6006 0.1598
O58 0.4241 0.7606 0.8417
O59 0.4277 0.9368 0.8264
O60 0.4309 0.5985 0.4403
O61 0.4320 0.2657 0.7761
O62 0.4328 0.4320 0.8937
O63 0.4330 0.7710 0.5535
O64 0.4337 0.9368 0.1091
O65 0.4346 0.0987 0.2228
O66 0.4884 0.0271 0.0074
O67 0.4884 0.6681 0.6578
O68 0.4889 0.6916 0.3412
O69 0.4918 0.0040 0.3261
O70 0.4924 0.3652 0.6737
O71 0.4942 0.0002 0.6083
O72 0.4977 0.6668 0.9419
O73 0.4992 0.3344 0.2758
O74 0.4996 0.3673 0.3897
O75 0.5002 0.6972 0.0584
O76 0.5023 0.0311 0.7254
O77 0.5088 0.3367 0.9944
O78 0.6247 0.8343 0.4939
O79 0.6326 0.5330 0.2242
O80 0.6353 0.1674 0.4425
O81 0.6347 0.8317 0.7770
O82 0.6355 0.8684 0.8899
O83 0.6356 0.1987 0.5572
O84 0.6356 0.4995 0.1062
O85 0.6399 0.8616 0.1738
O86 0.6422 0.5071 0.8263
O87 0.6423 0.5281 0.5068
O88 0.6464 0.1684 0.1578
O89 0.6463 0.1918 0.8413
O90 0.6984 0.6001 0.7243
O91 0.7006 0.2717 0.0535
O92 0.7007 0.4346 0.6097
O93 0.7013 0.7638 0.2743
O94 0.7037 0.0984 0.9413
O95 0.7054 0.5934 0.0068
O96 0.7052 0.9300 0.3915
O97 0.7061 0.4367 0.3261
O98 0.7135 0.2626 0.3397
O99 0.7149 0.7691 0.9922
O100 0.7152 0.9322 0.6739
O101 0.7159 0.0987 0.6597
O102 0.7403 0.4140 0.0053
O103 0.7419 0.2856 0.9462
O104 0.7466 0.6102 0.3257
O105 0.7494 0.4174 0.7238
O106 0.7500 0.2748 0.6596
O107 0.7506 0.0844 0.0577
O108 0.7511 0.9502 0.2752
O109 0.7531 0.0865 0.3404
O110 0.7542 0.6154 0.6104
O111 0.7539 0.7548 0.6733
O112 0.7574 0.7507 0.3905
O113 0.7569 0.9439 0.9929
O114 0.8772 0.7516 0.8900
O115 0.8792 0.6159 0.1103
O116 0.8806 0.7545 0.1735
O117 0.8811 0.9400 0.4926
O118 0.8839 0.9500 0.7757
O119 0.8854 0.2813 0.4420
O120 0.8855 0.4172 0.2237
O121 0.8869 0.0883 0.8400
O122 0.8872 0.6107 0.8255
O123 0.8880 0.0825 0.5580
O124 0.8892 0.2726 0.1588
O125 0.8912 0.4246 0.5065
O126 0.9184 0.7695 0.4926
O127 0.9179 0.9318 0.1736
O128 0.9234 0.1003 0.1594
O129 0.9241 0.2609 0.8417
O130 0.9281 0.4368 0.8258
O131 0.9301 0.5963 0.5073
O132 0.9323 0.7643 0.7742
O133 0.9325 0.9319 0.8936
O134 0.9340 0.4370 0.1093
O135 0.9360 0.0988 0.4425
O136 0.9362 0.2640 0.5569
O137 0.9361 0.6000 0.2245
O138 0.9887 0.5272 0.0075
O139 0.9906 0.5069 0.3271
O140 0.9924 0.1668 0.6597
O141 0.9922 0.1917 0.3400
O142 0.9945 0.8616 0.6738
O143 0.9975 0.1670 0.9419
O144 0.9990 0.8680 0.3900